The following is a PBE calculation of crystalline Rb2VAgSe2 at its relaxed geometry, from Materials Project.

Cell and atoms, written as POSCAR:
```
Rb2VAgSe2
1.0
0.000 5.529 20.746
4.552 0.000 20.746
4.552 5.529 0.000
Rb V Ag Se
8 4 4 8
direct
0.016 0.345 0.352 Rb
0.213 0.648 0.655 Rb
0.345 0.016 0.787 Rb
0.352 0.787 0.016 Rb
0.648 0.213 0.984 Rb
0.655 0.984 0.213 Rb
0.787 0.352 0.345 Rb
0.984 0.655 0.648 Rb
0.000 0.000 0.000 V
0.000 0.000 0.500 V
0.000 0.500 0.000 V
0.500 0.000 0.000 V
0.000 0.500 0.500 Ag
0.500 0.000 0.500 Ag
0.500 0.500 0.000 Ag
0.500 0.500 0.500 Ag
0.193 0.750 0.213 Se
0.213 0.344 0.193 Se
0.250 0.807 0.656 Se
0.344 0.213 0.750 Se
0.656 0.787 0.250 Se
0.750 0.193 0.344 Se
0.787 0.656 0.807 Se
0.807 0.250 0.787 Se
```

- Final energy: -3.7299 eV/atom

The following is a PBE calculation of crystalline RbAg3Te2 at its relaxed geometry, from Materials Project.

Cell and atoms, written as POSCAR:
```
RbAg3Te2
1.0
8.894 -2.328 0.000
8.894 2.328 0.000
-3.642 0.000 8.643
Rb Ag Te
2 6 4
direct
0.136 0.136 0.050 Rb
0.864 0.864 0.950 Rb
0.062 0.062 0.409 Ag
0.309 0.309 0.546 Ag
0.413 0.413 0.374 Ag
0.587 0.587 0.626 Ag
0.691 0.691 0.454 Ag
0.938 0.938 0.591 Ag
0.200 0.200 0.697 Te
0.480 0.480 0.776 Te
0.520 0.520 0.224 Te
0.800 0.800 0.303 Te
```

- Final energy: -3.0183 eV/atom

The following is a PBE calculation of crystalline ReAg3 at its relaxed geometry, from Materials Project.

Cell and atoms, written as POSCAR:
```
ReAg3
1.0
6.513 0.000 0.000
0.000 6.513 0.000
0.000 0.000 6.513
Re Ag
4 12
direct
0.000 0.000 0.000 Re
0.000 0.500 0.500 Re
0.500 0.000 0.500 Re
0.500 0.500 0.000 Re
0.000 0.000 0.500 Ag
0.000 0.500 0.000 Ag
0.250 0.250 0.250 Ag
0.250 0.250 0.750 Ag
0.250 0.750 0.250 Ag
0.250 0.750 0.750 Ag
0.500 0.000 0.000 Ag
0.500 0.500 0.500 Ag
0.750 0.250 0.250 Ag
0.750 0.250 0.750 Ag
0.750 0.750 0.250 Ag
0.750 0.750 0.750 Ag
```

- Final energy: -4.3398 eV/atom

The following is a PBE calculation of crystalline ReAg3 at its relaxed geometry, from Materials Project.

Cell and atoms, written as POSCAR:
```
ReAg3
1.0
5.834 0.000 0.000
-2.917 5.052 0.000
0.000 0.000 4.606
Re Ag
2 6
direct
0.333 0.667 0.250 Re
0.667 0.333 0.750 Re
0.169 0.339 0.750 Ag
0.169 0.831 0.750 Ag
0.339 0.169 0.250 Ag
0.661 0.831 0.750 Ag
0.831 0.169 0.250 Ag
0.831 0.661 0.250 Ag
```

- Final energy: -4.3411 eV/atom

The following is a PBE calculation of crystalline AgRh at its relaxed geometry, from Materials Project.

Cell and atoms, written as POSCAR:
```
AgRh
1.0
2.778 0.000 0.000
-1.389 2.405 0.000
0.000 0.000 4.809
Ag Rh
1 1
direct
0.000 0.000 0.000 Ag
0.667 0.333 0.500 Rh
```

- Final energy: -4.8351 eV/atom

The following is a PBE calculation of crystalline Ag3Rh at its relaxed geometry, from Materials Project.

Cell and atoms, written as POSCAR:
```
Ag3Rh
1.0
5.788 0.000 0.000
-2.894 5.013 0.000
0.000 0.000 4.713
Ag Rh
6 2
direct
0.168 0.337 0.250 Ag
0.168 0.832 0.250 Ag
0.337 0.168 0.750 Ag
0.663 0.832 0.250 Ag
0.832 0.168 0.750 Ag
0.832 0.663 0.750 Ag
0.333 0.667 0.750 Rh
0.667 0.333 0.250 Rh
```

- Final energy: -3.7428 eV/atom

The following is a PBE calculation of crystalline Ag3Rh at its relaxed geometry, from Materials Project.

Cell and atoms, written as POSCAR:
```
Ag3Rh
1.0
4.076 0.000 0.000
0.000 4.076 0.000
0.000 0.000 4.076
Ag Rh
3 1
direct
0.000 0.000 0.500 Ag
0.000 0.500 0.000 Ag
0.500 0.000 0.000 Ag
0.500 0.500 0.500 Rh
```

- Final energy: -3.7438 eV/atom

The following is a PBE calculation of crystalline Ag3Rh at its relaxed geometry, from Materials Project.

Cell and atoms, written as POSCAR:
```
Ag3Rh
1.0
6.496 0.000 0.000
0.000 6.496 0.000
0.000 0.000 6.496
Ag Rh
12 4
direct
0.000 0.000 0.000 Ag
0.000 0.500 0.500 Ag
0.250 0.250 0.250 Ag
0.250 0.250 0.750 Ag
0.250 0.750 0.250 Ag
0.250 0.750 0.750 Ag
0.500 0.000 0.500 Ag
0.500 0.500 0.000 Ag
0.750 0.250 0.250 Ag
0.750 0.250 0.750 Ag
0.750 0.750 0.250 Ag
0.750 0.750 0.750 Ag
0.000 0.000 0.500 Rh
0.000 0.500 0.000 Rh
0.500 0.000 0.000 Rh
0.500 0.500 0.500 Rh
```

- Final energy: -3.7366 eV/atom

The following is a PBE calculation of crystalline Sm2AgRh at its relaxed geometry, from Materials Project.

Cell and atoms, written as POSCAR:
```
Sm2AgRh
1.0
7.194 0.000 0.000
0.000 7.194 0.000
0.000 0.000 7.194
Sm Ag Rh
8 4 4
direct
0.250 0.250 0.250 Sm
0.250 0.250 0.750 Sm
0.250 0.750 0.250 Sm
0.250 0.750 0.750 Sm
0.750 0.250 0.250 Sm
0.750 0.250 0.750 Sm
0.750 0.750 0.250 Sm
0.750 0.750 0.750 Sm
0.000 0.000 0.000 Ag
0.000 0.500 0.500 Ag
0.500 0.000 0.500 Ag
0.500 0.500 0.000 Ag
0.000 0.000 0.500 Rh
0.000 0.500 0.000 Rh
0.500 0.000 0.000 Rh
0.500 0.500 0.500 Rh
```

- Final energy: -5.4004 eV/atom

The following is a PBE calculation of crystalline Ag3Ru at its relaxed geometry, from Materials Project.

Cell and atoms, written as POSCAR:
```
Ag3Ru
1.0
5.817 0.000 0.000
-2.909 5.038 0.000
0.000 0.000 4.701
Ag Ru
6 2
direct
0.168 0.337 0.250 Ag
0.168 0.832 0.250 Ag
0.337 0.168 0.750 Ag
0.663 0.832 0.250 Ag
0.832 0.168 0.750 Ag
0.832 0.663 0.750 Ag
0.333 0.667 0.750 Ru
0.667 0.333 0.250 Ru
```

- Final energy: -3.9186 eV/atom

The following is a PBE calculation of crystalline Sc2AgRu at its relaxed geometry, from Materials Project.

Cell and atoms, written as POSCAR:
```
Sc2AgRu
1.0
6.630 0.000 0.000
0.000 6.630 0.000
0.000 0.000 6.630
Sc Ag Ru
8 4 4
direct
0.250 0.250 0.250 Sc
0.250 0.250 0.750 Sc
0.250 0.750 0.250 Sc
0.250 0.750 0.750 Sc
0.750 0.250 0.250 Sc
0.750 0.250 0.750 Sc
0.750 0.750 0.250 Sc
0.750 0.750 0.750 Sc
0.000 0.000 0.000 Ag
0.000 0.500 0.500 Ag
0.500 0.000 0.500 Ag
0.500 0.500 0.000 Ag
0.000 0.000 0.500 Ru
0.000 0.500 0.000 Ru
0.500 0.000 0.000 Ru
0.500 0.500 0.500 Ru
```

- Final energy: -6.6348 eV/atom

The following is a PBE calculation of crystalline Sm2AgRu at its relaxed geometry, from Materials Project.

Cell and atoms, written as POSCAR:
```
Sm2AgRu
1.0
7.169 0.000 0.000
0.000 7.169 0.000
0.000 0.000 7.169
Sm Ag Ru
8 4 4
direct
0.250 0.250 0.250 Sm
0.250 0.250 0.750 Sm
0.250 0.750 0.250 Sm
0.250 0.750 0.750 Sm
0.750 0.250 0.250 Sm
0.750 0.250 0.750 Sm
0.750 0.750 0.250 Sm
0.750 0.750 0.750 Sm
0.000 0.000 0.000 Ag
0.000 0.500 0.500 Ag
0.500 0.000 0.500 Ag
0.500 0.500 0.000 Ag
0.000 0.000 0.500 Ru
0.000 0.500 0.000 Ru
0.500 0.000 0.000 Ru
0.500 0.500 0.500 Ru
```

- Final energy: -5.6478 eV/atom

The following is a PBE calculation of crystalline Tm2AgRu at its relaxed geometry, from Materials Project.

Cell and atoms, written as POSCAR:
```
Tm2AgRu
1.0
6.933 0.000 0.000
0.000 6.933 0.000
0.000 0.000 6.933
Tm Ag Ru
8 4 4
direct
0.250 0.250 0.250 Tm
0.250 0.250 0.750 Tm
0.250 0.750 0.250 Tm
0.250 0.750 0.750 Tm
0.750 0.250 0.250 Tm
0.750 0.250 0.750 Tm
0.750 0.750 0.250 Tm
0.750 0.750 0.750 Tm
0.000 0.000 0.000 Ag
0.000 0.500 0.500 Ag
0.500 0.000 0.500 Ag
0.500 0.500 0.000 Ag
0.000 0.000 0.500 Ru
0.000 0.500 0.000 Ru
0.500 0.000 0.000 Ru
0.500 0.500 0.500 Ru
```

- Final energy: -5.6794 eV/atom

The following is a PBE calculation of crystalline AgSbS2 at its relaxed geometry, from Materials Project.

Cell and atoms, written as POSCAR:
```
AgSbS2
1.0
5.493 0.000 0.000
0.000 5.493 0.000
0.000 0.000 11.428
Ag Sb S
4 4 8
direct
0.000 0.250 0.375 Ag
0.000 0.750 0.625 Ag
0.500 0.250 0.125 Ag
0.500 0.750 0.875 Ag
0.000 0.250 0.875 Sb
0.000 0.750 0.125 Sb
0.500 0.250 0.625 Sb
0.500 0.750 0.375 Sb
0.000 0.250 0.117 S
0.000 0.250 0.633 S
0.000 0.750 0.367 S
0.000 0.750 0.883 S
0.500 0.250 0.383 S
0.500 0.250 0.867 S
0.500 0.750 0.133 S
0.500 0.750 0.617 S
```

- Final energy: -3.9382 eV/atom

The following is a PBE calculation of crystalline AgSbS2 at its relaxed geometry, from Materials Project.

Cell and atoms, written as POSCAR:
```
AgSbS2
1.0
6.483 -2.331 0.000
6.483 2.331 0.000
-2.056 0.000 13.111
Ag Sb S
4 4 8
direct
0.000 0.000 0.000 Ag
0.000 0.000 0.500 Ag
0.498 0.502 0.750 Ag
0.502 0.498 0.250 Ag
0.219 0.273 0.374 Sb
0.273 0.219 0.874 Sb
0.727 0.781 0.126 Sb
0.781 0.727 0.626 Sb
0.008 0.703 0.802 S
0.197 0.584 0.085 S
0.297 0.992 0.698 S
0.416 0.803 0.415 S
0.584 0.197 0.585 S
0.703 0.008 0.302 S
0.803 0.416 0.915 S
0.992 0.297 0.198 S
```

- Final energy: -3.9989 eV/atom

The following is a PBE calculation of crystalline AgSbS2 at its relaxed geometry, from Materials Project.

Cell and atoms, written as POSCAR:
```
AgSbS2
1.0
3.970 0.000 0.000
0.000 3.970 0.000
0.000 0.000 5.408
Ag Sb S
1 1 2
direct
0.000 0.000 0.000 Ag
0.500 0.500 0.500 Sb
0.000 0.000 0.500 S
0.500 0.500 0.000 S
```

- Final energy: -3.8843 eV/atom

The following is a PBE calculation of crystalline AgSbS2 at its relaxed geometry, from Materials Project.

Cell and atoms, written as POSCAR:
```
AgSbS2
1.0
3.976 0.000 0.000
-1.988 3.444 0.000
0.000 0.000 18.934
Ag Sb S
3 3 6
direct
0.000 0.000 0.000 Ag
0.333 0.667 0.667 Ag
0.667 0.333 0.333 Ag
0.000 0.000 0.500 Sb
0.333 0.667 0.167 Sb
0.667 0.333 0.833 Sb
0.000 0.000 0.250 S
0.000 0.000 0.750 S
0.333 0.667 0.417 S
0.333 0.667 0.917 S
0.667 0.333 0.083 S
0.667 0.333 0.583 S
```

- Final energy: -3.9415 eV/atom

The following is a PBE calculation of crystalline AgSbS2 at its relaxed geometry, from Materials Project.

Cell and atoms, written as POSCAR:
```
AgSbS2
1.0
7.455 -2.898 0.000
7.455 2.898 0.000
-3.064 0.000 13.573
Ag Sb S
4 4 8
direct
0.006 0.994 0.500 Ag
0.495 0.506 0.000 Ag
0.506 0.495 0.500 Ag
0.994 0.006 0.000 Ag
0.131 0.274 0.655 Sb
0.274 0.131 0.155 Sb
0.718 0.874 0.857 Sb
0.874 0.718 0.357 Sb
0.098 0.279 0.316 S
0.206 0.692 0.361 S
0.279 0.098 0.816 S
0.291 0.803 0.140 S
0.692 0.206 0.861 S
0.716 0.895 0.196 S
0.803 0.291 0.640 S
0.895 0.716 0.696 S
```

- Final energy: -3.9168 eV/atom

The following is a PBE calculation of crystalline AgSbS2 at its relaxed geometry, from Materials Project.

Cell and atoms, written as POSCAR:
```
AgSbS2
1.0
6.859 -2.897 0.000
6.859 2.897 0.000
-1.484 0.000 13.498
Ag Sb S
4 4 8
direct
0.003 0.997 0.500 Ag
0.502 0.510 0.992 Ag
0.510 0.502 0.492 Ag
0.997 0.003 0.000 Ag
0.232 0.335 0.855 Sb
0.335 0.232 0.355 Sb
0.674 0.769 0.644 Sb
0.769 0.674 0.144 Sb
0.181 0.702 0.862 S
0.197 0.468 0.204 S
0.321 0.795 0.631 S
0.468 0.197 0.704 S
0.527 0.809 0.294 S
0.702 0.181 0.362 S
0.795 0.321 0.131 S
0.809 0.527 0.794 S
```

- Final energy: -3.9026 eV/atom

The following is a PBE calculation of crystalline AgSbS2 at its relaxed geometry, from Materials Project.

Cell and atoms, written as POSCAR:
```
AgSbS2
1.0
6.526 -2.278 0.000
6.526 2.278 0.000
-1.889 0.000 13.169
Ag Sb S
4 4 8
direct
0.007 0.993 0.500 Ag
0.486 0.508 0.750 Ag
0.508 0.486 0.250 Ag
0.993 0.007 0.000 Ag
0.223 0.288 0.880 Sb
0.288 0.223 0.380 Sb
0.715 0.772 0.127 Sb
0.772 0.715 0.627 Sb
0.082 0.699 0.336 S
0.203 0.508 0.054 S
0.287 0.931 0.667 S
0.499 0.793 0.952 S
0.508 0.203 0.554 S
0.699 0.082 0.836 S
0.793 0.499 0.452 S
0.931 0.287 0.167 S
```

- Final energy: -3.9978 eV/atom

The following is a PBE calculation of crystalline AgSbSeS at its relaxed geometry, from Materials Project.

Cell and atoms, written as POSCAR:
```
AgSbSeS
1.0
3.953 0.000 0.000
0.000 3.953 0.000
0.000 0.000 5.782
Ag Sb Se S
1 1 1 1
direct
0.000 0.000 0.000 Ag
0.500 0.500 0.500 Sb
0.500 0.500 0.000 Se
0.000 0.000 0.500 S
```

- Final energy: -3.7404 eV/atom

The following is a PBE calculation of crystalline Tl3Ag3Sb2S6 at its relaxed geometry, from Materials Project.

Cell and atoms, written as POSCAR:
```
Tl3Ag3Sb2S6
1.0
11.538 0.000 0.000
0.000 12.142 0.000
-6.083 0.000 10.628
Tl Ag Sb S
12 12 8 24
direct
0.162 0.246 0.229 Tl
0.162 0.254 0.729 Tl
0.194 0.510 0.465 Tl
0.194 0.990 0.965 Tl
0.215 0.615 0.112 Tl
0.215 0.885 0.612 Tl
0.785 0.115 0.388 Tl
0.785 0.385 0.888 Tl
0.806 0.010 0.035 Tl
0.806 0.490 0.535 Tl
0.838 0.746 0.271 Tl
0.838 0.754 0.771 Tl
0.110 0.153 0.429 Ag
0.110 0.347 0.929 Ag
0.473 0.625 0.051 Ag
0.473 0.635 0.425 Ag
0.473 0.865 0.925 Ag
0.473 0.875 0.551 Ag
0.527 0.125 0.449 Ag
0.527 0.135 0.075 Ag
0.527 0.365 0.575 Ag
0.527 0.375 0.949 Ag
0.890 0.653 0.071 Ag
0.890 0.847 0.571 Ag
0.169 0.590 0.759 Sb
0.169 0.910 0.259 Sb
0.498 0.147 0.745 Sb
0.498 0.353 0.245 Sb
0.502 0.647 0.755 Sb
0.502 0.853 0.255 Sb
0.831 0.090 0.741 Sb
0.831 0.410 0.241 Sb
0.004 0.679 0.557 S
0.004 0.821 0.057 S
0.006 0.532 0.822 S
0.006 0.968 0.322 S
0.271 0.749 0.901 S
0.271 0.751 0.401 S
0.355 0.082 0.526 S
0.355 0.418 0.026 S
0.371 0.074 0.843 S
0.371 0.426 0.343 S
0.416 0.163 0.212 S
0.416 0.337 0.712 S
0.584 0.663 0.288 S
0.584 0.837 0.788 S
0.629 0.574 0.657 S
0.629 0.926 0.157 S
0.645 0.582 0.974 S
0.645 0.918 0.474 S
0.729 0.249 0.599 S
0.729 0.251 0.099 S
0.994 0.032 0.678 S
0.994 0.468 0.178 S
0.996 0.179 0.943 S
0.996 0.321 0.443 S
```

- Final energy: -3.7280 eV/atom